Record 1
## Ba3ReN3 (r²SCAN)

Data for Ba3ReN3 after structural relaxation.

Cell lengths 8.250, 8.250, 5.760 Å; angles 90.00, 90.00, 120.00 degrees
Atoms (fractional coordinates):
1 Ba 0.100 0.359 0.250
2 Ba 0.259 0.900 0.250
3 Ba 0.359 0.259 0.750
4 Ba 0.641 0.741 0.250
5 Ba 0.741 0.100 0.750
6 Ba 0.900 0.641 0.750
7 Re 0.333 0.667 0.750
8 Re 0.667 0.333 0.250
9 N 0.119 0.438 0.750
10 N 0.319 0.881 0.750
11 N 0.438 0.319 0.250
12 N 0.562 0.681 0.750
13 N 0.681 0.119 0.250
14 N 0.881 0.562 0.250

Electronic total energy ... -23.5347 eV per atom
Space group ... P6_3/m (176)

Record 2
## BaThN2 (r²SCAN)

Data for BaThN2 after structural relaxation.

Cell lengths 3.764, 3.764, 12.905 Å; angles 90.00, 90.00, 120.00 degrees
Atoms (fractional coordinates):
1 Ba 0.333 0.667 0.250
2 Ba 0.667 0.333 0.750
3 Th 0.000 0.000 0.000
4 Th 0.000 0.000 0.500
5 N 0.333 0.667 0.598
6 N 0.333 0.667 0.902
7 N 0.667 0.333 0.098
8 N 0.667 0.333 0.402

Electronic total energy ... -30.9771 eV per atom
Space group ... P6_3/mmc (194)

Record 3
## Ba2VN3 (r²SCAN)

Data for Ba2VN3 after structural relaxation.

Cell lengths 6.540, 6.540, 13.058 Å; angles 90.00, 90.00, 126.27 degrees
Atoms (fractional coordinates):
1 Ba 0.056 0.944 0.855
2 Ba 0.141 0.859 0.422
3 Ba 0.359 0.641 0.922
4 Ba 0.444 0.556 0.355
5 Ba 0.556 0.444 0.645
6 Ba 0.641 0.359 0.078
7 Ba 0.859 0.141 0.578
8 Ba 0.944 0.056 0.145
9 V 0.244 0.756 0.668
10 V 0.256 0.744 0.168
11 V 0.744 0.256 0.832
12 V 0.756 0.244 0.332
13 N 0.025 0.475 0.750
14 N 0.095 0.905 0.634
15 N 0.167 0.833 0.058
16 N 0.333 0.667 0.558
17 N 0.405 0.595 0.134
18 N 0.475 0.025 0.250
19 N 0.525 0.975 0.750
20 N 0.595 0.405 0.866
21 N 0.667 0.333 0.442
22 N 0.833 0.167 0.942
23 N 0.905 0.095 0.366
24 N 0.975 0.525 0.250

Electronic total energy ... -16.9915 eV per atom
Space group ... Cmce (64)

Record 4
## Ba3WN4 (r²SCAN)

Data for Ba3WN4 after structural relaxation.

Cell lengths 10.490, 12.272, 10.957 Å; angles 90.00, 90.00, 90.00 degrees
Atoms (fractional coordinates):
1 Ba 0.032 0.106 0.125
2 Ba 0.032 0.394 0.625
3 Ba 0.124 0.643 0.030
4 Ba 0.124 0.857 0.530
5 Ba 0.200 0.119 0.723
6 Ba 0.200 0.381 0.223
7 Ba 0.300 0.619 0.723
8 Ba 0.300 0.881 0.223
9 Ba 0.376 0.143 0.030
10 Ba 0.376 0.357 0.530
11 Ba 0.468 0.606 0.125
12 Ba 0.468 0.894 0.625
13 Ba 0.532 0.106 0.375
14 Ba 0.532 0.394 0.875
15 Ba 0.624 0.643 0.470
16 Ba 0.624 0.857 0.970
17 Ba 0.700 0.119 0.777
18 Ba 0.700 0.381 0.277
19 Ba 0.800 0.619 0.777
20 Ba 0.800 0.881 0.277
21 Ba 0.876 0.143 0.470
22 Ba 0.876 0.357 0.970
23 Ba 0.968 0.606 0.375
24 Ba 0.968 0.894 0.875
25 W 0.200 0.114 0.404
26 W 0.200 0.386 0.904
27 W 0.300 0.614 0.404
28 W 0.300 0.886 0.904
29 W 0.700 0.114 0.096
30 W 0.700 0.386 0.596
31 W 0.800 0.614 0.096
32 W 0.800 0.886 0.596
33 N 0.075 0.016 0.348
34 N 0.075 0.484 0.848
35 N 0.122 0.219 0.503
36 N 0.122 0.281 0.003
37 N 0.188 0.537 0.506
38 N 0.188 0.963 0.006
39 N 0.210 0.677 0.273
40 N 0.210 0.823 0.773
41 N 0.290 0.177 0.273
42 N 0.290 0.323 0.773
43 N 0.312 0.037 0.506
44 N 0.312 0.463 0.006
45 N 0.378 0.719 0.503
46 N 0.378 0.781 0.003
47 N 0.425 0.516 0.348
48 N 0.425 0.984 0.848
49 N 0.575 0.016 0.152
50 N 0.575 0.484 0.652
51 N 0.622 0.219 0.997
52 N 0.622 0.281 0.497
53 N 0.688 0.537 0.994
54 N 0.688 0.963 0.494
55 N 0.710 0.677 0.227
56 N 0.710 0.823 0.727
57 N 0.790 0.177 0.227
58 N 0.790 0.323 0.727
59 N 0.812 0.037 0.994
60 N 0.812 0.463 0.494
61 N 0.878 0.719 0.997
62 N 0.878 0.781 0.497
63 N 0.925 0.516 0.152
64 N 0.925 0.984 0.652

Electronic total energy ... -22.0077 eV per atom
Space group ... Pbca (61)

Record 5
## BaWN3 (r²SCAN)

Data for BaWN3 after structural relaxation.

Cell lengths 7.645, 5.757, 10.278 Å; angles 90.00, 131.24, 90.00 degrees
Atoms (fractional coordinates):
1 Ba 0.210 0.238 0.370
2 Ba 0.210 0.262 0.870
3 Ba 0.790 0.738 0.130
4 Ba 0.790 0.762 0.630
5 W 0.342 0.736 0.638
6 W 0.342 0.764 0.138
7 W 0.658 0.236 0.862
8 W 0.658 0.264 0.362
9 N 0.082 0.565 0.571
10 N 0.082 0.935 0.071
11 N 0.294 0.747 0.944
12 N 0.294 0.753 0.444
13 N 0.376 0.058 0.707
14 N 0.376 0.442 0.207
15 N 0.624 0.558 0.793
16 N 0.624 0.942 0.293
17 N 0.706 0.247 0.556
18 N 0.706 0.253 0.056
19 N 0.918 0.065 0.929
20 N 0.918 0.435 0.429

Electronic total energy ... -21.8195 eV per atom
Space group ... P2_1/c (14)

Record 6
## BaNa (r²SCAN)

Data for BaNa after structural relaxation.

Cell lengths 12.074, 12.074, 12.074 Å; angles 59.95, 59.95, 59.95 degrees
Atoms (fractional coordinates):
1 Ba 0.184 0.184 0.566
2 Ba 0.184 0.566 0.184
3 Ba 0.184 0.566 0.566
4 Ba 0.434 0.434 0.816
5 Ba 0.434 0.816 0.434
6 Ba 0.434 0.816 0.816
7 Ba 0.566 0.184 0.184
8 Ba 0.566 0.184 0.566
9 Ba 0.566 0.566 0.184
10 Ba 0.816 0.434 0.434
11 Ba 0.816 0.434 0.816
12 Ba 0.816 0.816 0.434
13 Na 0.000 0.000 0.000
14 Na 0.000 0.000 0.500
15 Na 0.000 0.500 0.000
16 Na 0.110 0.797 0.797
17 Na 0.203 0.203 0.203
18 Na 0.203 0.203 0.890
19 Na 0.203 0.890 0.203
20 Na 0.500 0.000 0.000
21 Na 0.797 0.110 0.797
22 Na 0.797 0.797 0.110
23 Na 0.797 0.797 0.797
24 Na 0.890 0.203 0.203

Electronic total energy ... -15.0190 eV per atom
Space group ... R-3m (166)